1.
Entry from the Materials Project database: a geometry-optimized Ba2As6O11 structure (PBE).

Cell and atoms, written as CIF:
```
data_Ba2As6O11
_chemical_formula_sum 'Ba2 As6 O11'
_space_group_name_H-M_alt 'P 1'
_space_group_IT_number 1
_space_group_name_Hall 'P 1'
_cell_length_a 5.352
_cell_length_b 7.330
_cell_length_c 9.575
_cell_angle_alpha 69.93
_cell_angle_beta 86.15
_cell_angle_gamma 84.23
loop_
_atom_site_label
_atom_site_fract_x
_atom_site_fract_y
_atom_site_fract_z
_atom_site_occupancy
Ba1 0.000 0.000 0.000 1
Ba2 0.475 0.613 0.853 1
As1 0.059 0.896 0.555 1
As2 0.453 0.722 0.345 1
As3 0.512 0.159 0.711 1
As4 0.518 0.186 0.258 1
As5 0.994 0.429 0.623 1
As6 0.994 0.438 0.176 1
O1 0.007 0.627 0.010 1
O2 0.148 0.949 0.706 1
O3 0.167 0.757 0.268 1
O4 0.247 0.326 0.757 1
O5 0.263 0.278 0.127 1
O6 0.374 0.784 0.518 1
O7 0.533 0.979 0.883 1
O8 0.596 0.957 0.229 1
O9 0.747 0.317 0.755 1
O10 0.750 0.310 0.116 1
O11 0.929 0.654 0.665 1
```

- Electronic total energy: -6.21 eV per atom
- Mass density: 4.3 g cm⁻³
- Excess energy over the best structure of this formula in the dataset: 1 meV/atom



2.
Entry from the Materials Project database: a geometry-optimized SrLi2Ta2O7 structure (PBE).

Cell and atoms, written as CIF:
```
data_SrLi2Ta2O7
_chemical_formula_sum 'Sr2 Li4 Ta4 O14'
_space_group_name_H-M_alt 'I 4/m m m'
_space_group_IT_number 139
_space_group_name_Hall '-I 4 2'
_cell_length_a 3.983
_cell_length_b 3.983
_cell_length_c 18.537
_cell_angle_alpha 90.00
_cell_angle_beta 90.00
_cell_angle_gamma 90.00
loop_
_atom_site_label
_atom_site_fract_x
_atom_site_fract_y
_atom_site_fract_z
_atom_site_occupancy
Sr1 0.000 0.000 0.000 1
Li1 0.000 0.500 0.250 1
Ta1 0.000 0.000 0.386 1
O1 0.000 0.000 0.284 1
O2 0.000 0.000 0.500 1
O3 0.000 0.500 0.104 1
```

- Electronic total energy: -8.13 eV per atom
- Mass density: 6.5 g cm⁻³



3.
Entry from the Materials Project database: a geometry-optimized Mg6NbSiO8 structure (PBE).

Cell and atoms, written as CIF:
```
data_Mg6NbSiO8
_chemical_formula_sum 'Mg6 Nb1 Si1 O8'
_space_group_name_H-M_alt 'P 4/m m m'
_space_group_IT_number 123
_space_group_name_Hall '-P 4 2'
_cell_length_a 4.339
_cell_length_b 4.339
_cell_length_c 8.796
_cell_angle_alpha 90.00
_cell_angle_beta 90.00
_cell_angle_gamma 90.00
loop_
_atom_site_label
_atom_site_fract_x
_atom_site_fract_y
_atom_site_fract_z
_atom_site_occupancy
Mg1 0.000 0.000 0.000 1
Mg2 0.000 0.500 0.243 1
Mg3 0.500 0.500 0.000 1
Nb1 0.000 0.000 0.500 1
Si1 0.500 0.500 0.500 1
O1 0.000 0.000 0.236 1
O2 0.000 0.500 0.000 1
O3 0.000 0.500 0.500 1
O4 0.500 0.500 0.238 1
```

- Electronic total energy: -6.15 eV per atom
- Mass density: 4.0 g cm⁻³
- Excess energy over the best structure of this formula in the dataset: 0 meV/atom



4.
Entry from the Materials Project database: a geometry-optimized CdSe structure (PBE).

Cell and atoms, written as CIF:
```
data_CdSe
_chemical_formula_sum 'Cd4 Se4'
_space_group_name_H-M_alt 'F m -3 m'
_space_group_IT_number 225
_space_group_name_Hall '-F 4 2 3'
_cell_length_a 5.748
_cell_length_b 5.748
_cell_length_c 5.748
_cell_angle_alpha 90.00
_cell_angle_beta 90.00
_cell_angle_gamma 90.00
loop_
_atom_site_label
_atom_site_fract_x
_atom_site_fract_y
_atom_site_fract_z
_atom_site_occupancy
Cd1 0.000 0.000 0.000 1
Se1 0.000 0.000 0.500 1
```

- Electronic total energy: -2.68 eV per atom
- Mass density: 6.7 g cm⁻³



5.
Entry from the Materials Project database: a geometry-optimized ReB2 structure (PBE).

Cell and atoms, written as CIF:
```
data_ReB2
_chemical_formula_sum 'Re2 B4'
_space_group_name_H-M_alt 'P 63/m m c'
_space_group_IT_number 194
_space_group_name_Hall '-P 6c 2c'
_cell_length_a 2.9170
_cell_length_b 2.9170
_cell_length_c 7.5035
_cell_angle_alpha 90.00
_cell_angle_beta 90.00
_cell_angle_gamma 120.00
loop_
_atom_site_label
_atom_site_fract_x
_atom_site_fract_y
_atom_site_fract_z
_atom_site_occupancy
Re1 0.3333 0.6667 0.2500 1
B1 0.3333 0.6667 0.5477 1
```

- Electronic total energy: -9.03 eV per atom
- Mass density: 12.5 g cm⁻³



6.
Entry from the Materials Project database: a geometry-optimized RbAgBr3 structure (PBE).

Cell and atoms, written as CIF:
```
data_RbAgBr3
_chemical_formula_sum 'Rb1 Ag1 Br3'
_space_group_name_H-M_alt 'P 1'
_space_group_IT_number 1
_space_group_name_Hall 'P 1'
_cell_length_a 5.445
_cell_length_b 5.447
_cell_length_c 5.448
_cell_angle_alpha 90.16
_cell_angle_beta 90.00
_cell_angle_gamma 90.09
loop_
_atom_site_label
_atom_site_fract_x
_atom_site_fract_y
_atom_site_fract_z
_atom_site_occupancy
Rb1 0.000 0.000 0.000 1
Ag1 0.501 0.513 0.507 1
Br1 0.001 0.511 0.508 1
Br2 0.495 0.013 0.495 1
Br3 0.502 0.508 0.006 1
```

- Electronic total energy: -2.64 eV per atom
- Mass density: 4.4 g cm⁻³